An optimized crystal structure of LiNiPO4. Source: Materials Project, functional PBE+U.

## Properties
- Corrected total energy (MP2020 scheme): -7.00 eV/atom
- Mass density: 3.234 g cm⁻³
- E above lowest polymorph: 0.48 eV per formula unit
- Energy of formation from the pure elements: -2.297 eV per atom

Geometry as CIF:
```
data_LiNiPO4
_cell_length_a 7.548
_cell_length_b 4.855
_cell_length_c 18.007
_cell_angle_alpha 90.00
_cell_angle_beta 91.08
_cell_angle_gamma 90.00
_symmetry_space_group_name_H-M 'P 1 21/c 1'
_symmetry_Int_Tables_number 14
_symmetry_space_group_name_Hall '-P 2ybc'
loop_
_atom_site_label
_atom_site_fract_x
_atom_site_fract_y
_atom_site_fract_z
_atom_site_occupancy
Li1 0.006 0.142 0.181 1
Li2 0.486 0.234 0.088 1
Ni1 0.150 0.728 0.515 1
Ni2 0.335 0.224 0.271 1
P1 0.251 0.207 0.935 1
P2 0.259 0.649 0.181 1
O1 0.057 0.079 0.926 1
O2 0.119 0.008 0.728 1
O3 0.246 0.538 0.692 1
O4 0.247 0.564 0.098 1
O5 0.252 0.525 0.934 1
O6 0.321 0.088 0.009 1
O7 0.360 0.090 0.870 1
O8 0.441 0.523 0.210 1
```